(1)
# SrHfO3 (GGA-PBE, relaxed)
data_SrHfO3
_chemical_formula_sum 'Sr1 Hf1 O3'
_symmetry_space_group_name_H-M 'P 4 m m'
_symmetry_Int_Tables_number 99
_cell_length_a 4.138
_cell_length_b 4.138
_cell_length_c 4.147
_cell_angle_alpha 90.00
_cell_angle_beta 90.00
_cell_angle_gamma 90.00
loop_
_symmetry_equiv_pos_as_xyz
'x,y,z'
'-y,x,z'
'-x,-y,z'
'y,-x,z'
'-x,y,z'
'y,x,z'
'x,-y,z'
'-y,-x,z'
loop_
_atom_site_label
_atom_site_type_symbol
_atom_site_fract_x
_atom_site_fract_y
_atom_site_fract_z
Sr1 Sr 0.000 0.000 0.000
Hf1 Hf 0.500 0.500 0.478
O1 O 0.000 0.500 0.460
O2 O 0.500 0.500 0.971
# Largest piezoelectric modulus = 8.74 C/m2
# E_tot = -43.3 eV/cell
# Calculated formation energy = -3.780 eV per atom

(2)
# Ba4Nd2Cd3Se10 (GGA-PBE, relaxed)
data_Ba4Nd2Cd3Se10
_chemical_formula_sum 'Ba16 Nd8 Cd12 Se40'
_symmetry_space_group_name_H-M 'C m c 21'
_symmetry_Int_Tables_number 36
_cell_length_a 4.402
_cell_length_b 19.200
_cell_length_c 28.055
_cell_angle_alpha 90.00
_cell_angle_beta 90.00
_cell_angle_gamma 90.00
loop_
_symmetry_equiv_pos_as_xyz
'x,y,z'
'-x,-y,z+1/2'
'-x,y,z'
'x,-y,z+1/2'
'x+1/2,y+1/2,z'
'-x+1/2,-y+1/2,z+1/2'
'-x+1/2,y+1/2,z'
'x+1/2,-y+1/2,z+1/2'
loop_
_atom_site_label
_atom_site_type_symbol
_atom_site_fract_x
_atom_site_fract_y
_atom_site_fract_z
Ba1 Ba 0.000 0.075 0.000
Ba2 Ba 0.000 0.094 0.819
Ba3 Ba 0.000 0.334 0.048
Ba4 Ba 0.000 0.334 0.765
Nd1 Nd 0.000 0.003 0.658
Nd2 Nd 0.000 0.418 0.904
Cd1 Cd 0.000 0.285 0.426
Cd2 Cd 0.000 0.344 0.196
Cd3 Cd 0.000 0.352 0.612
Se1 Se 0.000 0.079 0.333
Se2 Se 0.000 0.093 0.476
Se3 Se 0.000 0.154 0.167
Se4 Se 0.000 0.156 0.639
Se5 Se 0.000 0.263 0.888
Se6 Se 0.000 0.290 0.280
Se7 Se 0.000 0.293 0.526
Se8 Se 0.000 0.428 0.410
Se9 Se 0.000 0.485 0.228
Se10 Se 0.000 0.490 0.584
# E_tot = -337.2 eV/cell
# Calculated formation energy = -1.793 eV per atom

(3)
# Pb4S2O7 (GGA-PBE, relaxed)
data_Pb4S2O7
_chemical_formula_sum 'Pb8 S4 O14'
_symmetry_space_group_name_H-M 'P -1'
_symmetry_Int_Tables_number 2
_cell_length_a 6.470
_cell_length_b 7.958
_cell_length_c 10.473
_cell_angle_alpha 89.99
_cell_angle_beta 78.86
_cell_angle_gamma 88.18
loop_
_symmetry_equiv_pos_as_xyz
'x,y,z'
'-x,-y,-z'
loop_
_atom_site_label
_atom_site_type_symbol
_atom_site_fract_x
_atom_site_fract_y
_atom_site_fract_z
Pb1 Pb 0.176 0.405 0.195
Pb2 Pb 0.213 0.131 0.532
Pb3 Pb 0.223 0.866 0.184
Pb4 Pb 0.246 0.623 0.487
S1 S 0.275 0.657 0.922
S2 S 0.312 0.873 0.811
O1 O 0.011 0.345 0.744
O2 O 0.105 0.363 0.422
O3 O 0.143 0.873 0.732
O4 O 0.146 0.893 0.419
O5 O 0.296 0.022 0.895
O6 O 0.349 0.621 0.266
O7 O 0.477 0.149 0.275
# E_tot = -138.8 eV/cell
# Calculated formation energy = -1.267 eV per atom

(4)
# Ho6InCo2 (GGA-PBE, relaxed)
data_Ho6InCo2
_chemical_formula_sum 'Ho24 In4 Co8'
_symmetry_space_group_name_H-M 'I m m m'
_symmetry_Int_Tables_number 71
_symmetry_space_group_name_Hall '-I 2 2'
_cell_length_a 9.364
_cell_length_b 9.566
_cell_length_c 9.950
_cell_angle_alpha 90.00
_cell_angle_beta 90.00
_cell_angle_gamma 90.00
loop_
_atom_site_label
_atom_site_type_symbol
_atom_site_fract_x
_atom_site_fract_y
_atom_site_fract_z
Ho1 Ho 0.000 0.211 0.232
Ho2 Ho 0.196 0.500 0.185
Ho3 Ho 0.212 0.313 0.500
In1 In 0.000 0.000 0.000
In2 In 0.000 0.000 0.500
Co1 Co 0.000 0.376 0.000
Co2 Co 0.000 0.500 0.387
# E_tot = -187.7 eV/cell
# Calculated formation energy = -0.275 eV per atom

- E_tot of number 3 (Pb4S2O7)?
  -138.8 eV/cell

Please write out number 2 again, unchanged.
# Ba4Nd2Cd3Se10 (GGA-PBE, relaxed)
data_Ba4Nd2Cd3Se10
_chemical_formula_sum 'Ba16 Nd8 Cd12 Se40'
_symmetry_space_group_name_H-M 'C m c 21'
_symmetry_Int_Tables_number 36
_cell_length_a 4.402
_cell_length_b 19.200
_cell_length_c 28.055
_cell_angle_alpha 90.00
_cell_angle_beta 90.00
_cell_angle_gamma 90.00
loop_
_symmetry_equiv_pos_as_xyz
'x,y,z'
'-x,-y,z+1/2'
'-x,y,z'
'x,-y,z+1/2'
'x+1/2,y+1/2,z'
'-x+1/2,-y+1/2,z+1/2'
'-x+1/2,y+1/2,z'
'x+1/2,-y+1/2,z+1/2'
loop_
_atom_site_label
_atom_site_type_symbol
_atom_site_fract_x
_atom_site_fract_y
_atom_site_fract_z
Ba1 Ba 0.000 0.075 0.000
Ba2 Ba 0.000 0.094 0.819
Ba3 Ba 0.000 0.334 0.048
Ba4 Ba 0.000 0.334 0.765
Nd1 Nd 0.000 0.003 0.658
Nd2 Nd 0.000 0.418 0.904
Cd1 Cd 0.000 0.285 0.426
Cd2 Cd 0.000 0.344 0.196
Cd3 Cd 0.000 0.352 0.612
Se1 Se 0.000 0.079 0.333
Se2 Se 0.000 0.093 0.476
Se3 Se 0.000 0.154 0.167
Se4 Se 0.000 0.156 0.639
Se5 Se 0.000 0.263 0.888
Se6 Se 0.000 0.290 0.280
Se7 Se 0.000 0.293 0.526
Se8 Se 0.000 0.428 0.410
Se9 Se 0.000 0.485 0.228
Se10 Se 0.000 0.490 0.584
# E_tot = -337.2 eV/cell
# Calculated formation energy = -1.793 eV per atom

- What is the formula in the second record?
  Ba4Nd2Cd3Se10

- Look up the E_tot of the second one.
  -337.2 eV/cell